Record 1
# YCuPbS3 | Materials Project | PBE | optimized geometry
data_YCuPbS3
_chemical_formula_sum 'Y4 Cu4 Pb4 S12'
_cell_length_a 10.2800
_cell_length_b 3.9260
_cell_length_c 13.0333
_cell_angle_alpha 90.00
_cell_angle_beta 90.00
_cell_angle_gamma 90.00
_symmetry_space_group_name_H-M 'P 1'
_symmetry_Int_Tables_number 1
loop_
_symmetry_equiv_pos_as_xyz
'x,y,z'
loop_
_atom_site_label
_atom_site_type_symbol
_atom_site_fract_x
_atom_site_fract_y
_atom_site_fract_z
Y1 Y 0.0063 0.2500 0.2497
Y2 Y 0.4937 0.7500 0.7497
Y3 Y 0.5063 0.2500 0.2503
Y4 Y 0.9937 0.7500 0.7503
Cu1 Cu 0.2437 0.2500 0.7173
Cu2 Cu 0.2563 0.7500 0.2173
Cu3 Cu 0.7437 0.2500 0.7827
Cu4 Cu 0.7563 0.7500 0.2827
Pb1 Pb 0.2448 0.7500 0.5021
Pb2 Pb 0.2552 0.2500 0.0021
Pb3 Pb 0.7448 0.7500 0.9979
Pb4 Pb 0.7552 0.2500 0.4979
S1 S 0.0613 0.2500 0.6119
S2 S 0.0745 0.7500 0.1118
S3 S 0.2438 0.7500 0.8247
S4 S 0.2562 0.2500 0.3247
S5 S 0.4255 0.2500 0.6118
S6 S 0.4387 0.7500 0.1119
S7 S 0.5613 0.2500 0.8881
S8 S 0.5745 0.7500 0.3882
S9 S 0.7438 0.7500 0.6753
S10 S 0.7562 0.2500 0.1753
S11 S 0.9255 0.2500 0.8882
S12 S 0.9387 0.7500 0.3881
# - E (eV per cell) = -133.20
# - total energy after the MP2020 corrections (eV per atom) = -5.80
# - spin magnetization (μB per formula unit) = 0.0
# - energy of formation (kJ per mole of atoms) = -130.6

***

Record 2
# SmGa2Ni3 | Materials Project | PBE | optimized geometry
data_SmGa2Ni3
_chemical_formula_sum 'Sm3 Ga6 Ni9'
_cell_length_a 8.8116
_cell_length_b 8.8116
_cell_length_c 4.1083
_cell_angle_alpha 90.00
_cell_angle_beta 90.00
_cell_angle_gamma 120.00
_symmetry_space_group_name_H-M 'P 1'
_symmetry_Int_Tables_number 1
loop_
_symmetry_equiv_pos_as_xyz
'x,y,z'
loop_
_atom_site_label
_atom_site_type_symbol
_atom_site_fract_x
_atom_site_fract_y
_atom_site_fract_z
Sm1 Sm 0.0000 0.0000 0.0000
Sm2 Sm 0.3333 0.6667 0.5000
Sm3 Sm 0.6667 0.3333 0.5000
Ga1 Ga 0.0000 0.4823 0.0000
Ga2 Ga 0.0000 0.7281 0.5000
Ga3 Ga 0.2719 0.2719 0.5000
Ga4 Ga 0.4823 0.0000 0.0000
Ga5 Ga 0.5177 0.5177 0.0000
Ga6 Ga 0.7281 0.0000 0.5000
Ni1 Ni 0.0000 0.2942 0.5000
Ni2 Ni 0.1745 0.8041 0.0000
Ni3 Ni 0.1959 0.3704 0.0000
Ni4 Ni 0.2942 0.0000 0.5000
Ni5 Ni 0.3704 0.1959 0.0000
Ni6 Ni 0.6296 0.8255 0.0000
Ni7 Ni 0.7058 0.7058 0.5000
Ni8 Ni 0.8041 0.1745 0.0000
Ni9 Ni 0.8255 0.6296 0.0000
# - E (eV per cell) = -94.01
# - energy of formation (kJ per mole of atoms) = -51.8

***

Record 3
# K2InAgI6 | Materials Project | PBE | optimized geometry
data_K2InAgI6
_chemical_formula_sum 'K2 In1 Ag1 I6'
_cell_length_a 8.4289
_cell_length_b 8.4289
_cell_length_c 8.4289
_cell_angle_alpha 60.00
_cell_angle_beta 60.00
_cell_angle_gamma 60.00
_symmetry_space_group_name_H-M 'P 1'
_symmetry_Int_Tables_number 1
loop_
_symmetry_equiv_pos_as_xyz
'x,y,z'
loop_
_atom_site_label
_atom_site_type_symbol
_atom_site_fract_x
_atom_site_fract_y
_atom_site_fract_z
K1 K 0.2500 0.2500 0.2500
K2 K 0.7500 0.7500 0.7500
In1 In 0.0000 0.0000 0.0000
Ag1 Ag 0.5000 0.5000 0.5000
I1 I 0.2486 0.2486 0.7514
I2 I 0.2486 0.7514 0.2486
I3 I 0.2486 0.7514 0.7514
I4 I 0.7514 0.2486 0.2486
I5 I 0.7514 0.2486 0.7514
I6 I 0.7514 0.7514 0.2486
# - E (eV per cell) = -24.69
# - total energy after the MP2020 corrections (eV per atom) = -2.70
# - spin magnetization (μB per formula unit) = 0.0
# - energy of formation (kJ per mole of atoms) = -96.7

***

Record 4
# NiCN2 | Materials Project | PBE | optimized geometry
data_NiCN2
_chemical_formula_sum 'Ni2 C2 N4'
_cell_length_a 3.1302
_cell_length_b 3.1302
_cell_length_c 9.2897
_cell_angle_alpha 90.00
_cell_angle_beta 90.00
_cell_angle_gamma 120.00
_symmetry_space_group_name_H-M 'P 1'
_symmetry_Int_Tables_number 1
loop_
_symmetry_equiv_pos_as_xyz
'x,y,z'
loop_
_atom_site_label
_atom_site_type_symbol
_atom_site_fract_x
_atom_site_fract_y
_atom_site_fract_z
Ni1 Ni 0.0000 0.0000 0.0000
Ni2 Ni 0.0000 0.0000 0.5000
C1 C 0.3333 0.6667 0.2500
C2 C 0.6667 0.3333 0.7500
N1 N 0.3333 0.6667 0.1167
N2 N 0.3333 0.6667 0.3833
N3 N 0.6667 0.3333 0.6167
N4 N 0.6667 0.3333 0.8833
# - E (eV per cell) = -60.84
# - total energy after the MP2020 corrections (eV per atom) = -7.79
# - spin magnetization (μB per formula unit) = 1.6
# - energy of formation (kJ per mole of atoms) = 13.0

***

Record 5
# ZrPbO3 | Materials Project | PBE | optimized geometry
data_ZrPbO3
_chemical_formula_sum 'Zr8 Pb8 O24'
_cell_length_a 5.9789
_cell_length_b 11.9458
_cell_length_c 8.3170
_cell_angle_alpha 90.00
_cell_angle_beta 90.00
_cell_angle_gamma 90.00
_symmetry_space_group_name_H-M 'P 1'
_symmetry_Int_Tables_number 1
loop_
_symmetry_equiv_pos_as_xyz
'x,y,z'
loop_
_atom_site_label
_atom_site_type_symbol
_atom_site_fract_x
_atom_site_fract_y
_atom_site_fract_z
Zr1 Zr 0.2418 0.1242 0.2498
Zr2 Zr 0.2418 0.1242 0.7502
Zr3 Zr 0.2582 0.6242 0.2498
Zr4 Zr 0.2582 0.6242 0.7502
Zr5 Zr 0.7418 0.3758 0.2498
Zr6 Zr 0.7418 0.3758 0.7502
Zr7 Zr 0.7582 0.8758 0.2498
Zr8 Zr 0.7582 0.8758 0.7502
Pb1 Pb 0.1956 0.3764 0.0000
Pb2 Pb 0.2075 0.3718 0.5000
Pb3 Pb 0.2925 0.8718 0.5000
Pb4 Pb 0.3044 0.8764 0.0000
Pb5 Pb 0.6956 0.1236 0.0000
Pb6 Pb 0.7075 0.1282 0.5000
Pb7 Pb 0.7925 0.6282 0.5000
Pb8 Pb 0.8044 0.6236 0.0000
O1 O 0.0000 0.0000 0.2320
O2 O 0.0000 0.0000 0.7680
O3 O 0.0000 0.5000 0.2009
O4 O 0.0000 0.5000 0.7991
O5 O 0.0358 0.2624 0.2814
O6 O 0.0358 0.2624 0.7186
O7 O 0.1973 0.5943 0.5000
O8 O 0.2244 0.6573 0.0000
O9 O 0.2756 0.1573 0.0000
O10 O 0.3027 0.0943 0.5000
O11 O 0.4642 0.7624 0.2814
O12 O 0.4642 0.7624 0.7186
O13 O 0.5000 0.0000 0.2009
O14 O 0.5000 0.0000 0.7991
O15 O 0.5000 0.5000 0.2320
O16 O 0.5000 0.5000 0.7680
O17 O 0.5358 0.2376 0.2814
O18 O 0.5358 0.2376 0.7186
O19 O 0.6973 0.9057 0.5000
O20 O 0.7244 0.8427 0.0000
O21 O 0.7756 0.3427 0.0000
O22 O 0.8027 0.4057 0.5000
O23 O 0.9642 0.7376 0.2814
O24 O 0.9642 0.7376 0.7186
# - E (eV per cell) = -314.36
# - total energy after the MP2020 corrections (eV per atom) = -8.27
# - spin magnetization (μB per formula unit) = 0.0
# - energy of formation (kJ per mole of atoms) = -275.0

***

Record 6
# FeCl3 | Materials Project | PBE | optimized geometry
data_FeCl3
_chemical_formula_sum 'Fe2 Cl6'
_cell_length_a 3.8655
_cell_length_b 7.5240
_cell_length_c 7.6706
_cell_angle_alpha 77.96
_cell_angle_beta 78.40
_cell_angle_gamma 84.69
_symmetry_space_group_name_H-M 'P 1'
_symmetry_Int_Tables_number 1
loop_
_symmetry_equiv_pos_as_xyz
'x,y,z'
loop_
_atom_site_label
_atom_site_type_symbol
_atom_site_fract_x
_atom_site_fract_y
_atom_site_fract_z
Fe1 Fe 0.0000 0.0000 0.0000
Fe2 Fe 0.0780 0.6244 0.3077
Cl1 Cl 0.0787 0.0487 0.7117
Cl2 Cl 0.1681 0.5577 0.5757
Cl3 Cl 0.2963 0.7219 0.0172
Cl4 Cl 0.4599 0.1544 0.0187
Cl5 Cl 0.8514 0.9040 0.3097
Cl6 Cl 0.8650 0.3845 0.2851
# - E (eV per cell) = -32.46
# - total energy after the MP2020 corrections (eV per atom) = -4.52
# - spin magnetization (μB per formula unit) = 4.6
# - energy of formation (kJ per mole of atoms) = -97.9

***

Record 7
# PrAl3Ni2 | Materials Project | PBE | optimized geometry
data_PrAl3Ni2
_chemical_formula_sum 'Pr1 Al3 Ni2'
_cell_length_a 5.3716
_cell_length_b 5.3716
_cell_length_c 4.0171
_cell_angle_alpha 90.00
_cell_angle_beta 90.00
_cell_angle_gamma 120.00
_symmetry_space_group_name_H-M 'P 1'
_symmetry_Int_Tables_number 1
loop_
_symmetry_equiv_pos_as_xyz
'x,y,z'
loop_
_atom_site_label
_atom_site_type_symbol
_atom_site_fract_x
_atom_site_fract_y
_atom_site_fract_z
Pr1 Pr 0.0000 0.0000 0.0000
Al1 Al 0.0000 0.5000 0.5000
Al2 Al 0.5000 0.0000 0.5000
Al3 Al 0.5000 0.5000 0.5000
Ni1 Ni 0.3333 0.6667 0.0000
Ni2 Ni 0.6667 0.3333 0.0000
# - E (eV per cell) = -31.18
# - energy of formation (kJ per mole of atoms) = -57.9

***

Record 8
# SrLiAlF6 | Materials Project | PBE | optimized geometry
data_SrLiAlF6
_chemical_formula_sum 'Sr4 Li4 Al4 F24'
_cell_length_a 5.1729
_cell_length_b 8.9421
_cell_length_c 10.3298
_cell_angle_alpha 90.00
_cell_angle_beta 90.20
_cell_angle_gamma 90.00
_symmetry_space_group_name_H-M 'P 1'
_symmetry_Int_Tables_number 1
loop_
_symmetry_equiv_pos_as_xyz
'x,y,z'
loop_
_atom_site_label
_atom_site_type_symbol
_atom_site_fract_x
_atom_site_fract_y
_atom_site_fract_z
Sr1 Sr 0.2495 0.2386 0.4989
Sr2 Sr 0.2495 0.2614 0.9989
Sr3 Sr 0.7505 0.7386 0.0011
Sr4 Sr 0.7505 0.7614 0.5011
Li1 Li 0.2611 0.5847 0.7460
Li2 Li 0.2611 0.9153 0.2460
Li3 Li 0.7389 0.0847 0.7540
Li4 Li 0.7389 0.4153 0.2540
Al1 Al 0.2437 0.5828 0.2496
Al2 Al 0.2437 0.9172 0.7496
Al3 Al 0.7563 0.0828 0.2504
Al4 Al 0.7563 0.4172 0.7504
F1 F 0.0482 0.0838 0.1500
F2 F 0.0482 0.4162 0.6500
F3 F 0.0670 0.0521 0.6475
F4 F 0.0670 0.4479 0.1475
F5 F 0.1315 0.7365 0.1448
F6 F 0.1315 0.7635 0.6448
F7 F 0.3914 0.0628 0.8502
F8 F 0.3914 0.4372 0.3502
F9 F 0.3929 0.7282 0.3473
F10 F 0.3929 0.7718 0.8473
F11 F 0.4709 0.0595 0.3550
F12 F 0.4709 0.4405 0.8550
F13 F 0.5291 0.5595 0.1450
F14 F 0.5291 0.9405 0.6450
F15 F 0.6071 0.2282 0.1527
F16 F 0.6071 0.2718 0.6527
F17 F 0.6086 0.5628 0.6498
F18 F 0.6086 0.9372 0.1498
F19 F 0.8685 0.2365 0.3552
F20 F 0.8685 0.2635 0.8552
F21 F 0.9330 0.5521 0.8525
F22 F 0.9330 0.9479 0.3525
F23 F 0.9518 0.5838 0.3500
F24 F 0.9518 0.9162 0.8500
# - E (eV per cell) = -203.72
# - total energy after the MP2020 corrections (eV per atom) = -5.97
# - spin magnetization (μB per formula unit) = 0.0
# - energy of formation (kJ per mole of atoms) = -373.8